No. 1
Material: BrO2
Method: DFT, PBE-GGA
State: relaxed

**Energy**: -0.12978 hartree per atom
**Energy with MP2020 corrections**: -3.64 eV/atom

Cell lengths 11.299, 4.432, 5.016 Å; angles 84.49, 90.00, 90.00 degrees
Fractional positions:
Br (0.346, 0.157, 0.626)
O (0.497, 0.637, 0.968)
O (0.667, 0.456, 0.436)
O (0.503, 0.363, 0.032)
O (0.333, 0.544, 0.564)
Br (0.654, 0.843, 0.374)
O (0.167, 0.544, 0.064)
O (0.833, 0.456, 0.936)
Br (0.846, 0.843, 0.874)
O (0.003, 0.637, 0.468)
Br (0.154, 0.157, 0.126)
O (0.997, 0.363, 0.532)

=====

No. 2
Material: NiH6Cl2
Method: DFT, PBE-GGA
State: relaxed

**Energy**: -0.12430 hartree per atom
**Energy with MP2020 corrections**: -3.52 eV/atom

Cell lengths 4.955, 4.955, 5.340 Å; angles 81.02, 81.02, 79.77 degrees
Fractional positions:
Ni (0.000, 0.000, 0.000)
H (0.808, 0.938, 0.269)
H (0.548, 0.548, 0.508)
H (0.452, 0.452, 0.492)
H (0.062, 0.192, 0.731)
H (0.192, 0.062, 0.731)
H (0.938, 0.808, 0.269)
Cl (0.771, 0.771, 0.821)
Cl (0.229, 0.229, 0.179)

=====

No. 3
Material: Na6Sc2In2Si3S3O24
Method: DFT, PBE-GGA
State: relaxed

**Energy**: -0.23795 hartree per atom
**Energy with MP2020 corrections**: -6.89 eV/atom

Cell lengths 9.195, 9.166, 22.755 Å; angles 90.36, 89.62, 120.10 degrees
Fractional positions:
Sc (0.676, 0.335, 0.487)
O (0.684, 0.524, 0.529)
O (0.645, 0.154, 0.418)
O (0.984, 0.166, 0.588)
O (0.542, 0.860, 0.477)
O (0.844, 0.813, 0.586)
Na (0.676, 0.967, 0.583)
In (0.998, 0.012, 0.843)
Na (0.992, 0.014, 0.998)
Sc (0.987, 0.993, 0.649)
O (0.838, 0.014, 0.089)
In (0.679, 0.329, 0.984)
O (0.881, 0.366, 0.640)
O (0.482, 0.132, 0.632)
Si (0.632, 0.965, 0.417)
Na (0.634, 0.007, 0.258)
Sc (0.667, 0.315, 0.189)
Na (0.349, 0.351, 0.254)
O (0.701, 0.139, 0.023)
S (0.332, 0.968, 0.919)
Na (0.024, 0.322, 0.083)
Na (0.668, 0.323, 0.822)
O (0.312, 0.463, 0.753)
O (0.636, 0.121, 0.140)
S (0.959, 0.632, 0.083)
O (0.851, 0.302, 0.523)
Si (0.665, 0.025, 0.083)
S (0.037, 0.668, 0.417)
Sc (0.681, 0.343, 0.683)
O (0.521, 0.816, 0.756)
O (0.649, 0.509, 0.924)
Na (0.648, 0.646, 0.737)
In (0.337, 0.662, 0.016)
Na (0.986, 0.366, 0.746)
O (0.178, 0.484, 0.259)
Na (0.344, 0.031, 0.414)
O (0.154, 0.666, 0.749)
Si (0.970, 0.335, 0.582)
O (0.138, 0.695, 0.471)
Na (0.714, 0.046, 0.910)
O (0.530, 0.680, 0.258)
O (0.990, 0.806, 0.088)
O (0.864, 0.522, 0.133)
O (0.869, 0.563, 0.027)
O (0.352, 0.468, 0.360)
Na (0.325, 0.672, 0.173)
O (0.133, 0.495, 0.863)
O (0.513, 0.871, 0.359)
Na (0.019, 0.687, 0.592)
O (0.806, 0.044, 0.813)
O (0.982, 0.791, 0.813)
O (0.231, 0.201, 0.806)
Si (0.042, 0.369, 0.918)
O (0.852, 0.356, 0.919)
O (0.477, 0.177, 0.245)
O (0.018, 0.823, 0.694)
O (0.512, 0.666, 0.585)
Si (0.291, 0.999, 0.248)
Si (0.668, 0.626, 0.586)
O (0.536, 0.643, 0.864)
O (0.648, 0.521, 0.645)
Si (0.999, 0.706, 0.750)
O (0.186, 0.969, 0.187)
O (0.806, 0.814, 0.915)
Na (0.953, 0.288, 0.422)
O (0.967, 0.172, 0.304)
O (0.869, 0.514, 0.420)
Na (0.333, 0.666, 0.665)
O (0.025, 0.822, 0.409)
S (0.299, 0.292, 0.749)
O (0.368, 0.887, 0.869)
Na (0.975, 0.994, 0.506)
O (0.485, 0.843, 0.079)
O (0.794, 0.973, 0.696)
O (0.678, 0.529, 0.244)
O (0.824, 0.520, 0.749)
O (0.465, 0.324, 0.030)
O (0.177, 0.976, 0.913)
O (0.045, 0.234, 0.188)
S (0.372, 0.044, 0.582)
O (0.180, 0.194, 0.409)
S (0.701, 0.699, 0.251)
Na (0.675, 0.332, 0.335)
O (0.194, 0.022, 0.305)
Si (0.005, 0.305, 0.249)
O (0.298, 0.442, 0.466)
O (0.474, 0.351, 0.137)
O (0.482, 0.347, 0.420)
In (0.350, 0.661, 0.521)
Na (0.310, 0.970, 0.095)
S (0.378, 0.335, 0.084)
O (0.332, 0.843, 0.253)
In (0.322, 0.670, 0.811)
O (0.138, 0.449, 0.982)
O (0.354, 0.872, 0.580)
Sc (0.991, 0.003, 0.349)
O (0.555, 0.694, 0.970)
O (0.484, 0.140, 0.923)
O (0.012, 0.177, 0.914)
O (0.350, 0.482, 0.082)
Si (0.695, 0.000, 0.751)
O (0.468, 0.317, 0.743)
S (0.633, 0.663, 0.917)
O (0.824, 0.994, 0.412)
O (0.186, 0.204, 0.700)
Sc (0.329, 0.681, 0.314)
O (0.147, 0.516, 0.576)
Na (0.970, 0.657, 0.901)
S (0.333, 0.368, 0.414)
O (0.673, 0.164, 0.743)
O (0.127, 0.639, 0.083)
O (0.203, 0.023, 0.587)
O (0.833, 0.317, 0.244)
In (0.995, 0.003, 0.155)
O (0.122, 0.640, 0.366)
O (0.769, 0.803, 0.196)
O (0.448, 0.136, 0.526)
O (0.210, 0.176, 0.083)
O (0.310, 0.868, 0.974)
O (0.808, 0.782, 0.302)

=====

No. 4
Material: Ho12Co7
Method: DFT, PBE-GGA
State: relaxed

**Energy**: -0.20974 hartree per atom

Cell lengths 11.149, 8.241, 10.977 Å; angles 54.87, 90.00, 90.00 degrees
Fractional positions:
Co (0.826, 0.909, 0.530)
Ho (0.496, 0.845, 0.854)
Co (0.901, 0.507, 0.400)
Ho (0.199, 0.249, 0.175)
Ho (0.158, 0.498, 0.342)
Ho (0.342, 0.498, 0.842)
Ho (0.658, 0.502, 0.158)
Ho (0.205, 0.765, 0.962)
Ho (0.504, 0.155, 0.146)
Ho (0.842, 0.502, 0.658)
Co (0.311, 0.902, 0.657)
Ho (0.795, 0.235, 0.038)
Ho (0.430, 0.733, 0.195)
Co (0.189, 0.902, 0.157)
Ho (0.301, 0.249, 0.675)
Co (0.099, 0.493, 0.600)
Co (0.326, 0.091, 0.970)
Ho (0.428, 0.230, 0.414)
Ho (0.996, 0.155, 0.646)
Ho (0.930, 0.267, 0.305)
Co (0.599, 0.507, 0.900)
Co (0.689, 0.098, 0.343)
Ho (0.070, 0.733, 0.695)
Ho (0.928, 0.770, 0.086)
Ho (0.295, 0.765, 0.462)
Ho (0.705, 0.235, 0.538)
Ho (0.004, 0.845, 0.354)
Co (0.500, 0.500, 0.500)
Ho (0.572, 0.770, 0.586)
Co (0.000, 0.500, 0.000)
Ho (0.699, 0.751, 0.325)
Ho (0.801, 0.751, 0.825)
Ho (0.570, 0.267, 0.805)
Co (0.174, 0.091, 0.470)
Co (0.401, 0.493, 0.100)
Co (0.674, 0.909, 0.030)
Ho (0.072, 0.230, 0.914)
Co (0.811, 0.098, 0.843)

=====

No. 5
Material: TmPa3
Method: DFT, PBE-GGA
State: relaxed

**Energy**: -0.29736 hartree per atom

Cell lengths 4.707, 4.707, 4.707 Å; angles 90.00, 90.00, 90.00 degrees
Fractional positions:
Tm (0.000, 0.000, 0.000)
Pa (0.000, 0.500, 0.500)
Pa (0.500, 0.000, 0.500)
Pa (0.500, 0.500, 0.000)

=====

No. 6
Material: Ho3ScO6
Method: DFT, PBE-GGA
State: relaxed

**Energy**: -0.31558 hartree per atom
**Energy with MP2020 corrections**: -9.00 eV/atom

Cell lengths 6.576, 6.576, 6.576 Å; angles 92.00, 92.00, 92.00 degrees
Fractional positions:
Ho (0.068, 0.561, 0.253)
O (0.463, 0.807, 0.594)
O (0.086, 0.693, 0.930)
O (0.807, 0.594, 0.463)
O (0.307, 0.070, 0.914)
O (0.070, 0.914, 0.307)
Ho (0.253, 0.068, 0.561)
Sc (0.000, 0.000, 0.000)
Ho (0.932, 0.439, 0.747)
O (0.693, 0.930, 0.086)
O (0.406, 0.537, 0.193)
O (0.914, 0.307, 0.070)
Ho (0.439, 0.747, 0.932)
Sc (0.500, 0.500, 0.500)
O (0.537, 0.193, 0.406)
Ho (0.747, 0.932, 0.439)
O (0.930, 0.086, 0.693)
O (0.193, 0.406, 0.537)
O (0.594, 0.463, 0.807)
Ho (0.561, 0.253, 0.068)

=====

No. 7
Material: Ho2CdOs
Method: DFT, PBE-GGA
State: relaxed

**Energy**: -0.20437 hartree per atom

Cell lengths 5.000, 5.000, 5.000 Å; angles 60.00, 60.00, 60.00 degrees
Fractional positions:
Ho (0.250, 0.250, 0.250)
Cd (0.000, 0.000, 0.000)
Os (0.500, 0.500, 0.500)
Ho (0.750, 0.750, 0.750)

=====

No. 8
Material: Er4FeS7
Method: DFT, PBE-GGA
State: relaxed

**Energy**: -0.23313 hartree per atom
**Energy with MP2020 corrections**: -6.64 eV/atom

Cell lengths 6.462, 6.462, 11.365 Å; angles 76.21, 76.21, 33.86 degrees
Fractional positions:
Er (0.695, 0.695, 0.206)
Er (0.112, 0.112, 0.565)
S (0.491, 0.491, 0.494)
S (0.660, 0.660, 0.949)
Er (0.305, 0.305, 0.802)
Er (0.999, 0.999, 0.006)
S (0.033, 0.033, 0.227)
S (0.745, 0.745, 0.639)
S (0.269, 0.269, 0.354)
S (0.963, 0.963, 0.784)
S (0.338, 0.338, 0.052)
Fe (0.889, 0.889, 0.423)

=====

No. 9
Material: CuNiAu
Method: DFT, PBE-GGA
State: relaxed

**Energy**: -0.15651 hartree per atom

Cell lengths 2.746, 2.746, 6.341 Å; angles 90.00, 90.00, 120.00 degrees
Fractional positions:
Au (0.000, 0.000, 0.998)
Ni (0.333, 0.667, 0.651)
Cu (0.667, 0.333, 0.351)

=====

No. 10
Material: Hf5CoAs3
Method: DFT, PBE-GGA
State: relaxed

**Energy**: -0.32115 hartree per atom

Cell lengths 3.681, 10.455, 17.418 Å; angles 90.00, 90.00, 90.00 degrees
Fractional positions:
Hf (0.750, 0.057, 0.923)
As (0.250, 0.189, 0.007)
As (0.750, 0.509, 0.881)
As (0.750, 0.689, 0.493)
As (0.750, 0.315, 0.281)
Hf (0.750, 0.443, 0.423)
Hf (0.750, 0.016, 0.224)
Hf (0.750, 0.120, 0.522)
Hf (0.250, 0.516, 0.276)
As (0.250, 0.815, 0.219)
Hf (0.250, 0.943, 0.077)
As (0.250, 0.491, 0.119)
Co (0.250, 0.869, 0.908)
Hf (0.250, 0.557, 0.577)
Hf (0.250, 0.315, 0.868)
As (0.250, 0.311, 0.507)
Hf (0.750, 0.742, 0.333)
As (0.750, 0.811, 0.993)
Hf (0.750, 0.484, 0.724)
Hf (0.250, 0.880, 0.478)
As (0.250, 0.009, 0.619)
Hf (0.750, 0.815, 0.632)
Co (0.250, 0.631, 0.408)
As (0.250, 0.685, 0.719)
As (0.750, 0.185, 0.781)
Co (0.750, 0.131, 0.092)
Hf (0.750, 0.758, 0.833)
Hf (0.250, 0.620, 0.978)
Hf (0.250, 0.984, 0.776)
Hf (0.750, 0.380, 0.022)
Hf (0.750, 0.685, 0.132)
As (0.750, 0.991, 0.381)
Hf (0.250, 0.258, 0.667)
Hf (0.250, 0.242, 0.167)
Hf (0.250, 0.185, 0.368)
Co (0.750, 0.369, 0.592)